12
Lattice="5.9212 -3.2948 0.0000 5.9212 3.2948 0.0000 -0.6669 0.0000 7.6459" Properties=species:S:1:pos:R:3 comment="PBE Rb2TeO3, optimized geometry" volume_a3_per_cell=298.3 space_group="C2/m (12)" e_tot_ev_per_atom=-4.814 delta_e_f_mev_per_atom=-1832 pbc="T T T"
Rb 0.0000 0.0000 0.0000
Rb -0.3334 0.0000 3.8230
Rb 3.1810 0.0000 6.5887
Rb 7.9945 0.0000 1.0572
Te 3.7635 0.0000 2.5984
Te 7.4120 0.0000 5.0475
O 4.4416 1.4618 1.6217
O 1.9629 0.0000 2.0582
O 6.7339 1.4618 6.0243
O 4.4416 -1.4618 1.6217
O 9.2127 0.0000 5.5877
O 6.7339 -1.4618 6.0243